(1)
DFT (PBE) results for a geometry-optimized SrBr2O6 structure.

Cell lengths 7.187, 7.187, 7.535 Å; angles 74.61, 74.61, 114.68 degrees
Fractional positions:
O1 0.748 0.524 0.248
O2 0.050 0.582 0.398
O3 0.471 0.635 0.123
O4 0.168 0.205 0.570
O5 0.205 0.168 0.070
O6 0.369 0.018 0.394
O7 0.018 0.369 0.894
O8 0.635 0.471 0.623
O9 0.769 0.021 0.258
O10 0.582 0.050 0.898
O11 0.021 0.769 0.758
O12 0.524 0.748 0.748
Br1 0.778 0.408 0.455
Br2 0.973 0.111 0.029
Br3 0.408 0.778 0.955
Br4 0.111 0.973 0.529
Sr1 0.386 0.628 0.492
Sr2 0.628 0.386 0.992

Output
- energy relative to the lowest polymorph listed for this composition (kJ/mol of formula units) = 0
- energy of formation (eV per atom) = -1.149

(2)
DFT (PBE) results for a geometry-optimized CdP14Pb structure.

Cell lengths 9.915, 11.141, 13.317 Å; angles 90.00, 90.00, 90.00 degrees
Fractional positions:
Pb1 0.250 0.901 0.171
Pb2 0.250 0.599 0.671
Pb3 0.750 0.401 0.329
Pb4 0.750 0.099 0.829
P1 0.416 0.789 0.434
P2 0.076 0.345 0.529
P3 0.576 0.655 0.471
P4 0.750 0.604 0.080
P5 0.250 0.649 0.166
P6 0.077 0.332 0.829
P7 0.916 0.211 0.566
P8 0.420 0.914 0.572
P9 0.423 0.332 0.829
P10 0.250 0.104 0.420
P11 0.416 0.711 0.934
P12 0.580 0.414 0.928
P13 0.548 0.642 0.634
P14 0.077 0.168 0.329
P15 0.923 0.668 0.171
P16 0.584 0.211 0.566
P17 0.952 0.858 0.134
P18 0.584 0.289 0.066
P19 0.580 0.086 0.428
P20 0.576 0.845 0.971
P21 0.924 0.655 0.471
P22 0.452 0.358 0.366
P23 0.923 0.832 0.671
P24 0.048 0.358 0.366
P25 0.424 0.345 0.529
P26 0.076 0.155 0.029
P27 0.084 0.711 0.934
P28 0.452 0.142 0.866
P29 0.920 0.086 0.428
P30 0.423 0.168 0.329
P31 0.080 0.914 0.572
P32 0.250 0.838 0.967
P33 0.048 0.142 0.866
P34 0.750 0.149 0.334
P35 0.250 0.222 0.556
P36 0.750 0.351 0.834
P37 0.750 0.338 0.533
P38 0.548 0.858 0.134
P39 0.577 0.832 0.671
P40 0.250 0.396 0.920
P41 0.750 0.162 0.033
P42 0.424 0.155 0.029
P43 0.750 0.722 0.944
P44 0.916 0.289 0.066
P45 0.250 0.851 0.666
P46 0.420 0.586 0.072
P47 0.952 0.642 0.634
P48 0.250 0.278 0.056
P49 0.920 0.414 0.928
P50 0.084 0.789 0.434
P51 0.750 0.896 0.580
P52 0.250 0.662 0.467
P53 0.080 0.586 0.072
P54 0.750 0.778 0.444
P55 0.577 0.668 0.171
P56 0.924 0.845 0.971
Cd1 0.250 0.497 0.316
Cd2 0.750 0.503 0.684
Cd3 0.250 0.003 0.816
Cd4 0.750 0.997 0.184

Output
- energy relative to the lowest polymorph listed for this composition (kJ/mol of formula units) = 0
- energy of formation (eV per atom) = -0.044

(3)
DFT (PBE) results for a geometry-optimized Y3Si3Ni structure.

Cell lengths 9.169, 9.169, 9.169 Å; angles 155.39, 153.88, 36.20 degrees
Fractional positions:
Y1 0.999 0.999 0.000
Y2 0.184 0.684 0.500
Y3 0.818 0.318 0.500
Si1 0.362 0.862 0.500
Si2 0.644 0.144 0.500
Si3 0.560 0.560 0.000
Ni1 0.433 0.433 0.000

Output
- energy of formation (eV per atom) = -0.801

(4)
DFT (PBE) results for a geometry-optimized MgPb2 structure.

Cell lengths 6.769, 6.769, 7.903 Å; angles 74.02, 74.02, 29.85 degrees
Fractional positions:
Pb1 0.824 0.824 0.127
Pb2 0.867 0.867 0.532
Pb3 0.176 0.176 0.873
Pb4 0.133 0.133 0.468
Mg1 0.471 0.471 0.803
Mg2 0.529 0.529 0.197

Output
- energy relative to the lowest polymorph listed for this composition (kJ/mol of formula units) = 4
- energy of formation (eV per atom) = 0.005

(5)
DFT (PBE) results for a geometry-optimized HoGa3 structure.

Cell lengths 6.251, 6.251, 4.585 Å; angles 90.00, 90.00, 120.00 degrees
Fractional positions:
Ga1 0.150 0.299 0.250
Ga2 0.299 0.150 0.750
Ga3 0.701 0.850 0.250
Ga4 0.850 0.701 0.750
Ga5 0.850 0.150 0.750
Ga6 0.150 0.850 0.250
Ho1 0.667 0.333 0.250
Ho2 0.333 0.667 0.750

Output
- energy of formation (eV per atom) = -0.519

(6)
DFT (PBE) results for a geometry-optimized MoRu structure.

Cell lengths 2.777, 2.777, 4.464 Å; angles 90.00, 90.00, 120.00 degrees
Fractional positions:
Mo1 0.667 0.333 0.000
Ru1 0.333 0.667 0.500

Output
- energy of formation (eV per atom) = 0.059

(7)
DFT (PBE) results for a geometry-optimized GeH10Se3N4 structure.

Cell lengths 12.939, 12.939, 14.340 Å; angles 116.82, 116.82, 90.00 degrees
Fractional positions:
H1 0.469 0.128 0.212
H2 0.233 0.238 0.647
H3 0.232 0.576 0.301
H4 0.144 0.109 0.893
H5 0.899 0.397 0.328
H6 0.732 0.225 0.301
H7 0.087 0.226 0.890
H8 0.341 0.479 0.156
H9 0.414 0.409 0.647
H10 0.914 0.552 0.390
H11 0.802 0.664 0.890
H12 0.534 0.394 0.393
H13 0.729 0.091 0.656
H14 0.429 0.932 0.328
H15 0.335 0.494 0.712
H16 0.587 0.164 0.890
H17 0.326 0.319 0.801
H18 0.249 0.792 0.184
H19 0.975 0.819 0.801
H20 0.748 0.784 0.893
H21 0.976 0.052 0.390
H22 0.193 0.614 0.678
H23 0.935 0.392 0.184
H24 0.826 0.982 0.801
H25 0.642 0.685 0.684
H26 0.815 0.678 0.156
H27 0.915 0.220 0.302
H28 0.988 0.664 0.147
H29 0.647 0.649 0.828
H30 0.470 0.665 0.802
H31 0.378 0.219 0.712
H32 0.841 0.178 0.156
H33 0.659 0.164 0.147
H34 0.428 0.591 0.656
H35 0.970 0.638 0.802
H36 0.928 0.565 0.656
H37 0.244 0.628 0.212
H38 0.399 0.432 0.328
H39 0.475 0.482 0.801
H40 0.733 0.909 0.647
H41 0.488 0.983 0.147
H42 0.042 0.999 0.684
H43 0.476 0.837 0.390
H44 0.333 0.138 0.802
H45 0.864 0.943 0.178
H46 0.485 0.065 0.678
H47 0.859 0.998 0.393
H48 0.985 0.114 0.678
H49 0.542 0.185 0.684
H50 0.914 0.738 0.647
H51 0.069 0.725 0.301
H52 0.159 0.483 0.147
H53 0.364 0.735 0.178
H54 0.644 0.284 0.893
H55 0.815 0.443 0.178
H56 0.569 0.076 0.301
H57 0.359 0.894 0.393
H58 0.388 0.083 0.302
H59 0.248 0.609 0.893
H60 0.147 0.679 0.828
H61 0.693 0.565 0.678
H62 0.302 0.726 0.890
H63 0.744 0.085 0.212
H64 0.315 0.235 0.178
H65 0.833 0.165 0.802
H66 0.415 0.583 0.302
H67 0.749 0.892 0.184
H68 0.182 0.179 0.828
H69 0.229 0.065 0.656
H70 0.929 0.897 0.328
H71 0.969 0.585 0.212
H72 0.142 0.499 0.684
H73 0.315 0.979 0.156
H74 0.888 0.720 0.302
H75 0.835 0.719 0.712
H76 0.878 0.994 0.712
H77 0.034 0.498 0.393
H78 0.435 0.292 0.184
H79 0.414 0.337 0.390
H80 0.682 0.149 0.828
Ge1 0.439 0.939 0.877
Ge2 0.039 0.039 0.079
Ge3 0.689 0.689 0.377
Ge4 0.789 0.289 0.579
Ge5 0.289 0.789 0.579
Ge6 0.939 0.439 0.877
Ge7 0.539 0.539 0.079
Ge8 0.189 0.189 0.377
N1 0.237 0.553 0.223
N2 0.820 0.965 0.227
N3 0.486 0.053 0.223
N4 0.479 0.592 0.737
N5 0.303 0.236 0.723
N6 0.758 0.092 0.737
N7 0.403 0.865 0.342
N8 0.615 0.189 0.842
N9 0.842 0.229 0.237
N10 0.407 0.262 0.227
N11 0.979 0.645 0.737
N12 0.907 0.465 0.227
N13 0.420 0.487 0.723
N14 0.986 0.670 0.223
N15 0.803 0.987 0.723
N16 0.258 0.145 0.737
N17 0.939 0.477 0.342
N18 0.715 0.657 0.727
N19 0.115 0.153 0.842
N20 0.215 0.570 0.727
N21 0.920 0.736 0.723
N22 0.227 0.653 0.842
N23 0.737 0.170 0.223
N24 0.320 0.762 0.227
N25 0.439 0.365 0.342
N26 0.727 0.689 0.842
N27 0.342 0.508 0.237
N28 0.395 0.008 0.237
N29 0.512 0.157 0.727
N30 0.895 0.729 0.237
N31 0.012 0.070 0.727
N32 0.903 0.977 0.342
Se1 0.090 0.250 0.489
Se2 0.000 0.649 0.989
Se3 0.121 0.255 0.228
Se4 0.107 0.974 0.228
Se5 0.639 0.492 0.968
Se6 0.139 0.976 0.968
Se7 0.224 0.857 0.728
Se8 0.742 0.389 0.468
Se9 0.226 0.889 0.468
Se10 0.399 0.239 0.489
Se11 0.242 0.579 0.468
Se12 0.726 0.079 0.468
Se13 0.329 0.476 0.968
Se14 0.607 0.755 0.228
Se15 0.829 0.992 0.968
Se16 0.899 0.750 0.489
Se17 0.621 0.474 0.228
Se18 0.590 0.739 0.489
Se19 0.505 0.871 0.728
Se20 0.489 0.149 0.989
Se21 0.005 0.357 0.728
Se22 0.989 0.340 0.989
Se23 0.724 0.371 0.728
Se24 0.500 0.840 0.989

Output
- energy of formation (eV per atom) = -0.270

(8)
DFT (PBE) results for a geometry-optimized SrP2PdO7 structure.

Cell lengths 6.074, 7.437, 13.606 Å; angles 90.00, 90.00, 90.00 degrees
Fractional positions:
O1 0.538 0.834 0.880
O2 0.750 0.597 0.978
O3 0.034 0.209 0.903
O4 0.750 0.974 0.662
O5 0.038 0.166 0.120
O6 0.534 0.709 0.597
O7 0.538 0.666 0.380
O8 0.466 0.291 0.403
O9 0.462 0.334 0.620
O10 0.750 0.903 0.478
O11 0.250 0.026 0.338
O12 0.750 0.526 0.162
O13 0.466 0.209 0.903
O14 0.250 0.410 0.208
O15 0.250 0.090 0.708
O16 0.250 0.097 0.522
O17 0.534 0.791 0.097
O18 0.966 0.709 0.597
O19 0.962 0.834 0.880
O20 0.750 0.590 0.792
O21 0.462 0.166 0.120
O22 0.750 0.910 0.292
O23 0.250 0.403 0.022
O24 0.966 0.791 0.097
O25 0.034 0.291 0.403
O26 0.038 0.334 0.620
O27 0.250 0.474 0.838
O28 0.962 0.666 0.380
Sr1 0.750 0.257 0.758
Sr2 0.750 0.243 0.258
Sr3 0.250 0.757 0.742
Sr4 0.250 0.743 0.242
P1 0.250 0.323 0.911
P2 0.250 0.216 0.622
P3 0.250 0.177 0.411
P4 0.750 0.716 0.878
P5 0.750 0.677 0.089
P6 0.750 0.784 0.378
P7 0.250 0.284 0.122
P8 0.750 0.823 0.589
Pd1 0.500 0.500 0.500
Pd2 0.000 0.000 0.000
Pd3 0.000 0.500 0.500
Pd4 0.500 0.000 0.000

Output
- energy of formation (eV per atom) = -2.607

(9)
DFT (PBE) results for a geometry-optimized Y2AlFe3 structure.

Cell lengths 5.229, 5.229, 5.229 Å; angles 59.98, 59.98, 59.98 degrees
Fractional positions:
Y1 0.878 0.878 0.878
Y2 0.122 0.122 0.122
Al1 0.500 0.500 0.500
Fe1 0.500 0.000 0.500
Fe2 0.000 0.500 0.500
Fe3 0.500 0.500 0.000

Output
- energy of formation (eV per atom) = -0.166

(10)
DFT (PBE) results for a geometry-optimized CsO2 structure.

Cell lengths 4.144, 4.144, 4.060 Å; angles 90.00, 90.00, 108.14 degrees
Fractional positions:
O1 0.101 0.899 0.500
O2 0.899 0.101 0.500
Cs1 0.500 0.500 0.000

Output
- energy relative to the lowest polymorph listed for this composition (kJ/mol of formula units) = 11
- energy of formation (eV per atom) = -0.941

(11)
DFT (PBE) results for a geometry-optimized ZnCu2SiSe4 structure.

Cell lengths 6.511, 6.844, 7.834 Å; angles 90.00, 90.00, 90.00 degrees
Fractional positions:
Cu1 0.663 0.826 0.247
Cu2 0.163 0.174 0.747
Cu3 0.163 0.174 0.253
Cu4 0.663 0.826 0.753
Zn1 0.157 0.651 0.000
Zn2 0.657 0.349 0.500
Se1 0.540 0.650 0.000
Se2 0.013 0.317 0.000
Se3 0.535 0.162 0.240
Se4 0.035 0.838 0.260
Se5 0.035 0.838 0.740
Se6 0.040 0.350 0.500
Se7 0.535 0.162 0.760
Se8 0.513 0.683 0.500
Si1 0.155 0.670 0.500
Si2 0.655 0.330 0.000

Output
- energy of formation (eV per atom) = -0.633

(12)
DFT (PBE) results for a geometry-optimized UPS structure.

Cell lengths 3.763, 3.763, 7.963 Å; angles 90.00, 90.00, 90.00 degrees
Fractional positions:
S1 0.500 0.000 0.363
S2 0.000 0.500 0.637
U1 0.500 0.000 0.722
U2 0.000 0.500 0.278
P1 0.000 0.000 0.000
P2 0.500 0.500 0.000

Output
- energy of formation (eV per atom) = -1.327

Question: The lowest energy of formation belongs to which entry?
Answer: SrP2PdO7

Question: What is the formula in the eleventh record?
Answer: ZnCu2SiSe4